1.
ZnP4: optimized geometry, PBE.

```
ZnP4
1.0
5.046 0.000 0.000
0.000 5.046 0.000
0.000 0.000 14.634
P Zn
16 4
Direct
0.680 0.076 0.201 P
0.180 0.424 0.549 P
0.924 0.320 0.299 P
0.576 0.820 0.951 P
0.098 0.988 0.375 P
0.988 0.098 0.625 P
0.012 0.902 0.125 P
0.488 0.402 0.125 P
0.424 0.180 0.451 P
0.402 0.488 0.875 P
0.598 0.512 0.375 P
0.076 0.680 0.799 P
0.902 0.012 0.875 P
0.512 0.598 0.625 P
0.320 0.924 0.701 P
0.820 0.576 0.049 P
0.698 0.302 0.750 Zn
0.302 0.698 0.250 Zn
0.198 0.198 0.000 Zn
0.802 0.802 0.500 Zn
```

Properties
**Calculated formation energy**: -0.086 eV per atom

2.
Nd2CdS4: optimized geometry, PBE.

```
Nd2CdS4
1.0
-4.237 4.237 4.434
4.237 -4.237 4.434
4.237 4.237 -4.434
Cd S Nd
2 8 4
Direct
0.750 0.250 0.500 Cd
0.000 0.000 0.000 Cd
0.132 0.368 0.375 S
0.632 0.007 0.764 S
0.507 0.243 0.125 S
0.618 0.493 0.736 S
0.757 0.882 0.264 S
0.993 0.757 0.625 S
0.118 0.382 0.875 S
0.243 0.868 0.236 S
0.236 0.125 0.611 Nd
0.514 0.625 0.389 Nd
0.875 0.486 0.111 Nd
0.375 0.764 0.889 Nd
```

Properties
**Energy with MP2020 corrections**: -79.81 eV per cell
**Calculated formation energy**: -1.843 eV per atom

3.
Rb2CeCu3Te5: optimized geometry, PBE.

```
Rb2CeCu3Te5
1.0
3.125 9.373 0.000
-3.125 9.373 0.000
0.000 4.809 11.559
Ce Te Rb Cu
2 10 4 6
Direct
0.702 0.702 0.186 Ce
0.298 0.298 0.814 Ce
0.459 0.459 0.855 Te
0.113 0.605 0.580 Te
0.605 0.113 0.580 Te
0.541 0.541 0.145 Te
0.223 0.223 0.102 Te
0.395 0.887 0.420 Te
0.777 0.777 0.898 Te
0.884 0.884 0.146 Te
0.116 0.116 0.854 Te
0.887 0.395 0.420 Te
0.328 0.328 0.328 Rb
0.995 0.995 0.681 Rb
0.005 0.005 0.319 Rb
0.672 0.672 0.672 Rb
0.398 0.890 0.999 Cu
0.110 0.602 0.001 Cu
0.602 0.110 0.001 Cu
0.890 0.398 0.999 Cu
0.248 0.752 0.000 Cu
0.752 0.248 0.000 Cu
```

Properties
**Energy with MP2020 corrections**: -91.00 eV per cell
**Calculated formation energy**: -0.872 eV per atom

4.
HgF2: optimized geometry, PBE.

```
HgF2
1.0
3.773 0.000 0.000
0.000 5.961 0.000
0.000 0.000 7.299
F Hg
8 4
Direct
0.750 0.513 0.664 F
0.750 0.641 0.080 F
0.750 0.013 0.836 F
0.250 0.359 0.920 F
0.250 0.987 0.164 F
0.250 0.487 0.336 F
0.250 0.859 0.580 F
0.750 0.141 0.420 F
0.750 0.242 0.107 Hg
0.250 0.258 0.607 Hg
0.750 0.742 0.393 Hg
0.250 0.758 0.893 Hg
```

Properties
**Energy with MP2020 corrections**: -36.55 eV per cell
**Relative energy among the computed polymorphs**: 0.111 eV/f.u.
**Calculated formation energy**: -1.668 eV per atom

5.
SrMg6CdO8: optimized geometry, PBE.

```
SrMg6CdO8
1.0
-5.838 6.678 -1.363
-3.436 -2.775 1.120
0.412 1.250 4.362
O Cd Mg Sr
8 1 6 1
Direct
0.747 0.500 0.500 O
0.253 0.500 0.500 O
0.000 0.000 0.500 O
0.500 0.000 0.500 O
0.742 0.000 0.000 O
0.258 0.000 0.000 O
0.500 0.500 0.000 O
0.000 0.500 0.000 O
0.500 0.000 0.000 Cd
0.743 0.000 0.500 Mg
0.743 0.500 0.000 Mg
0.257 0.500 0.000 Mg
0.257 0.000 0.500 Mg
0.000 0.500 0.500 Mg
0.500 0.500 0.500 Mg
0.000 0.000 0.000 Sr
```

Properties
**Energy with MP2020 corrections**: -93.54 eV per cell
**Relative energy among the computed polymorphs**: 0.916 eV/f.u.
**Calculated formation energy**: -2.609 eV per atom

6.
Cs2NaBiBr6: optimized geometry, PBE.

```
Cs2NaBiBr6
1.0
-4.429 4.662 5.149
-2.525 7.480 -2.354
-7.982 1.366 -1.513
Br Na Cs Bi
6 1 2 1
Direct
0.247 0.753 0.753 Br
0.247 0.247 0.753 Br
0.753 0.247 0.753 Br
0.753 0.247 0.247 Br
0.753 0.753 0.247 Br
0.247 0.753 0.247 Br
0.500 0.500 0.500 Na
0.750 0.750 0.750 Cs
0.250 0.250 0.250 Cs
0.000 0.000 0.000 Bi
```

Properties
**Energy with MP2020 corrections**: -33.80 eV per cell
**Calculated formation energy**: -1.697 eV per atom

| no. | ρ (Mg/m³) |
| --- | --- |
| 1 | 3.4 |
| 2 | 5.5 |
| 3 | 5.6 |
| 4 | 9.7 |
| 5 | 4.2 |
| 6 | 4.1 |